Record 1
Density functional theory data (PBE) for an optimized crystal structure of NaGaSiSnS2O12.

Calculated values
The calculation puts the energy at -112.207 eV per formula unit.

Cell lengths 8.694, 8.694, 22.680 Å; angles 90.56, 90.56, 59.97 degrees
Fractional positions:
Na (0.002, 0.998, 0.500)
Na (0.297, 0.338, 0.834)
Na (0.338, 0.297, 0.334)
Na (0.648, 0.680, 0.166)
Na (0.680, 0.648, 0.666)
Na (0.998, 0.002, 0.000)
Ga (0.279, 0.354, 0.690)
Ga (0.354, 0.279, 0.190)
Ga (0.649, 0.657, 0.522)
Ga (0.657, 0.649, 0.022)
Ga (0.989, 0.992, 0.856)
Ga (0.992, 0.989, 0.356)
Si (0.014, 0.331, 0.587)
Si (0.331, 0.014, 0.087)
Si (0.358, 0.941, 0.421)
Si (0.707, 0.992, 0.255)
Si (0.941, 0.358, 0.921)
Si (0.992, 0.707, 0.755)
Sn (0.308, 0.314, 0.985)
Sn (0.314, 0.308, 0.485)
Sn (0.652, 0.671, 0.317)
Sn (0.671, 0.652, 0.817)
Sn (0.987, 0.991, 0.651)
Sn (0.991, 0.987, 0.151)
S (0.034, 0.607, 0.089)
S (0.283, 0.685, 0.253)
S (0.285, 0.991, 0.755)
S (0.326, 0.606, 0.587)
S (0.365, 0.654, 0.921)
S (0.606, 0.326, 0.087)
S (0.607, 0.034, 0.589)
S (0.654, 0.365, 0.421)
S (0.658, 0.948, 0.921)
S (0.685, 0.283, 0.753)
S (0.948, 0.658, 0.421)
S (0.991, 0.285, 0.255)
O (0.007, 0.791, 0.091)
O (0.013, 0.805, 0.813)
O (0.025, 0.171, 0.307)
O (0.102, 0.361, 0.646)
O (0.126, 0.502, 0.141)
O (0.134, 0.504, 0.426)
O (0.135, 0.282, 0.527)
O (0.138, 0.344, 0.922)
O (0.141, 0.316, 0.248)
O (0.141, 0.539, 0.033)
O (0.149, 0.998, 0.093)
O (0.160, 0.963, 0.412)
O (0.161, 0.785, 0.590)
O (0.171, 0.025, 0.807)
O (0.172, 0.511, 0.752)
O (0.180, 0.771, 0.307)
O (0.185, 0.810, 0.916)
O (0.212, 0.957, 0.700)
O (0.214, 0.801, 0.200)
O (0.282, 0.135, 0.027)
O (0.287, 0.516, 0.244)
O (0.301, 0.526, 0.531)
O (0.316, 0.141, 0.748)
O (0.344, 0.138, 0.422)
O (0.351, 0.498, 0.639)
O (0.355, 0.488, 0.926)
O (0.361, 0.102, 0.146)
O (0.446, 0.684, 0.974)
O (0.453, 0.822, 0.480)
O (0.458, 0.821, 0.762)
O (0.468, 0.630, 0.866)
O (0.470, 0.652, 0.258)
O (0.472, 0.867, 0.361)
O (0.482, 0.628, 0.582)
O (0.488, 0.355, 0.426)
O (0.498, 0.351, 0.139)
O (0.502, 0.126, 0.641)
O (0.504, 0.134, 0.926)
O (0.509, 0.820, 0.077)
O (0.511, 0.172, 0.252)
O (0.516, 0.287, 0.744)
O (0.526, 0.301, 0.031)
O (0.539, 0.141, 0.533)
O (0.612, 0.880, 0.866)
O (0.619, 0.860, 0.583)
O (0.628, 0.482, 0.082)
O (0.630, 0.468, 0.366)
O (0.652, 0.470, 0.758)
O (0.676, 0.842, 0.974)
O (0.684, 0.446, 0.474)
O (0.686, 0.812, 0.256)
O (0.771, 0.180, 0.807)
O (0.785, 0.161, 0.090)
O (0.791, 0.007, 0.591)
O (0.801, 0.214, 0.700)
O (0.805, 0.013, 0.313)
O (0.810, 0.185, 0.416)
O (0.812, 0.686, 0.756)
O (0.816, 0.958, 0.194)
O (0.820, 0.509, 0.577)
O (0.821, 0.458, 0.262)
O (0.822, 0.453, 0.980)
O (0.822, 0.955, 0.915)
O (0.842, 0.676, 0.474)
O (0.860, 0.619, 0.083)
O (0.867, 0.472, 0.861)
O (0.880, 0.612, 0.366)
O (0.955, 0.822, 0.415)
O (0.957, 0.212, 0.200)
O (0.958, 0.816, 0.694)
O (0.963, 0.160, 0.912)
O (0.998, 0.149, 0.593)

=====

Record 2
Density functional theory data (PBE) for an optimized crystal structure of Na6Ga4Si5Sn4S7O48.

Calculated values
The calculation puts the energy at -461.663 eV per formula unit.

Cell lengths 8.827, 15.175, 22.607 Å; angles 89.84, 89.98, 89.78 degrees
Fractional positions:
Na (0.000, 0.000, 0.000)
Na (0.000, 0.677, 0.675)
Na (0.005, 0.334, 0.331)
Na (0.015, 0.992, 0.504)
Na (0.017, 0.321, 0.836)
Na (0.030, 0.667, 0.166)
Na (0.144, 0.493, 0.753)
Na (0.147, 0.160, 0.429)
Na (0.374, 0.658, 0.918)
Na (0.384, 0.993, 0.256)
Na (0.487, 0.168, 0.668)
Na (0.500, 0.495, 0.998)
Na (0.502, 0.817, 0.337)
Na (0.508, 0.825, 0.826)
Na (0.519, 0.502, 0.504)
Na (0.531, 0.178, 0.169)
Na (0.649, 0.990, 0.751)
Na (0.864, 0.490, 0.253)
Ga (0.019, 0.990, 0.354)
Ga (0.024, 0.661, 0.812)
Ga (0.035, 0.653, 0.317)
Ga (0.481, 0.157, 0.815)
Ga (0.492, 0.494, 0.852)
Ga (0.516, 0.164, 0.319)
Ga (0.524, 0.809, 0.172)
Ga (0.527, 0.817, 0.989)
Ga (0.528, 0.812, 0.698)
Ga (0.984, 0.325, 0.192)
Ga (0.992, 0.314, 0.678)
Ga (0.992, 0.322, 0.498)
Si (0.150, 0.178, 0.585)
Si (0.151, 0.516, 0.914)
Si (0.202, 0.491, 0.248)
Si (0.218, 0.157, 0.918)
Si (0.301, 0.658, 0.418)
Si (0.317, 0.993, 0.748)
Si (0.363, 0.636, 0.753)
Si (0.365, 0.678, 0.083)
Si (0.367, 0.017, 0.412)
Si (0.645, 0.344, 0.254)
Si (0.657, 0.688, 0.584)
Si (0.711, 0.327, 0.584)
Si (0.803, 0.826, 0.083)
Si (0.862, 0.188, 0.085)
Si (0.873, 0.846, 0.754)
Sn (0.008, 0.659, 0.520)
Sn (0.013, 0.323, 0.977)
Sn (0.017, 0.660, 0.022)
Sn (0.021, 0.995, 0.652)
Sn (0.030, 0.994, 0.850)
Sn (0.490, 0.493, 0.351)
Sn (0.496, 0.494, 0.151)
Sn (0.500, 0.159, 0.524)
Sn (0.503, 0.825, 0.478)
Sn (0.511, 0.160, 0.019)
Sn (0.516, 0.499, 0.646)
Sn (0.998, 0.994, 0.144)
S (0.150, 0.470, 0.586)
S (0.151, 0.136, 0.252)
S (0.154, 0.848, 0.251)
S (0.162, 0.809, 0.920)
S (0.217, 0.828, 0.585)
S (0.298, 0.326, 0.086)
S (0.359, 0.308, 0.418)
S (0.363, 0.346, 0.751)
S (0.369, 0.970, 0.087)
S (0.647, 0.308, 0.912)
S (0.655, 0.008, 0.917)
S (0.658, 0.648, 0.253)
S (0.658, 0.969, 0.585)
S (0.720, 0.660, 0.917)
S (0.720, 0.992, 0.255)
S (0.802, 0.488, 0.754)
S (0.803, 0.160, 0.415)
S (0.859, 0.470, 0.086)
S (0.860, 0.148, 0.753)
S (0.863, 0.509, 0.416)
S (0.870, 0.807, 0.412)
O (0.058, 0.084, 0.587)
O (0.063, 0.421, 0.922)
O (0.080, 0.559, 0.582)
O (0.080, 0.561, 0.855)
O (0.081, 0.574, 0.256)
O (0.081, 0.762, 0.257)
O (0.083, 0.223, 0.245)
O (0.084, 0.096, 0.307)
O (0.087, 0.896, 0.915)
O (0.090, 0.221, 0.521)
O (0.090, 0.890, 0.196)
O (0.091, 0.429, 0.641)
O (0.095, 0.771, 0.975)
O (0.097, 0.403, 0.239)
O (0.106, 0.070, 0.915)
O (0.109, 0.244, 0.919)
O (0.110, 0.905, 0.585)
O (0.116, 0.418, 0.531)
O (0.124, 0.241, 0.642)
O (0.124, 0.745, 0.581)
O (0.127, 0.907, 0.303)
O (0.128, 0.075, 0.200)
O (0.136, 0.753, 0.867)
O (0.138, 0.581, 0.972)
O (0.178, 0.641, 0.755)
O (0.180, 0.008, 0.407)
O (0.182, 0.663, 0.083)
O (0.192, 0.318, 0.424)
O (0.194, 0.340, 0.746)
O (0.199, 0.642, 0.478)
O (0.199, 0.676, 0.359)
O (0.201, 0.982, 0.092)
O (0.206, 0.320, 0.139)
O (0.210, 0.026, 0.693)
O (0.212, 0.339, 0.030)
O (0.221, 0.975, 0.808)
O (0.298, 0.472, 0.309)
O (0.301, 0.841, 0.528)
O (0.307, 0.521, 0.193)
O (0.311, 0.822, 0.637)
O (0.316, 0.141, 0.980)
O (0.318, 0.478, 0.587)
O (0.319, 0.142, 0.256)
O (0.322, 0.174, 0.862)
O (0.322, 0.842, 0.247)
O (0.330, 0.818, 0.926)
O (0.333, 0.164, 0.583)
O (0.338, 0.503, 0.911)
O (0.379, 0.565, 0.698)
O (0.382, 0.085, 0.468)
O (0.385, 0.251, 0.365)
O (0.385, 0.737, 0.143)
O (0.390, 0.402, 0.804)
O (0.394, 0.244, 0.082)
O (0.399, 0.918, 0.034)
O (0.405, 0.403, 0.087)
O (0.408, 0.746, 0.419)
O (0.411, 0.571, 0.414)
O (0.423, 0.908, 0.737)
O (0.426, 0.268, 0.473)
O (0.427, 0.722, 0.021)
O (0.429, 0.384, 0.696)
O (0.429, 0.930, 0.144)
O (0.434, 0.257, 0.757)
O (0.435, 0.062, 0.352)
O (0.435, 0.394, 0.414)
O (0.436, 0.078, 0.756)
O (0.436, 0.732, 0.748)
O (0.439, 0.060, 0.084)
O (0.441, 0.596, 0.814)
O (0.452, 0.923, 0.421)
O (0.459, 0.583, 0.087)
O (0.565, 0.248, 0.263)
O (0.574, 0.388, 0.193)
O (0.575, 0.923, 0.923)
O (0.580, 0.397, 0.905)
O (0.580, 0.590, 0.588)
O (0.582, 0.735, 0.245)
O (0.583, 0.273, 0.969)
O (0.587, 0.608, 0.306)
O (0.591, 0.060, 0.578)
O (0.592, 0.410, 0.589)
O (0.592, 0.726, 0.521)
O (0.594, 0.932, 0.638)
O (0.598, 0.053, 0.863)
O (0.613, 0.739, 0.921)
O (0.618, 0.249, 0.862)
O (0.619, 0.914, 0.251)
O (0.621, 0.233, 0.577)
O (0.623, 0.072, 0.258)
O (0.623, 0.579, 0.914)
O (0.626, 0.748, 0.641)
O (0.628, 0.919, 0.529)
O (0.631, 0.064, 0.972)
O (0.632, 0.415, 0.309)
O (0.641, 0.589, 0.200)
O (0.675, 0.175, 0.079)
O (0.690, 0.841, 0.749)
O (0.691, 0.477, 0.090)
O (0.695, 0.159, 0.762)
O (0.696, 0.498, 0.413)
O (0.699, 0.848, 0.026)
O (0.703, 0.473, 0.806)
O (0.703, 0.818, 0.416)
O (0.710, 0.174, 0.362)
O (0.712, 0.147, 0.469)
O (0.713, 0.498, 0.698)
O (0.714, 0.817, 0.146)
O (0.808, 0.350, 0.525)
O (0.808, 0.651, 0.973)
O (0.809, 0.316, 0.644)
O (0.810, 0.004, 0.199)
O (0.815, 0.317, 0.917)
O (0.815, 0.673, 0.865)
O (0.820, 0.981, 0.307)
O (0.822, 0.997, 0.914)
O (0.823, 0.659, 0.261)
O (0.827, 0.978, 0.588)
O (0.829, 0.335, 0.250)
O (0.845, 0.675, 0.579)
O (0.876, 0.090, 0.700)
O (0.887, 0.917, 0.809)
O (0.889, 0.565, 0.470)
O (0.891, 0.417, 0.032)
O (0.893, 0.244, 0.144)
O (0.893, 0.570, 0.758)
O (0.895, 0.732, 0.078)
O (0.900, 0.750, 0.360)
O (0.901, 0.078, 0.409)
O (0.907, 0.237, 0.420)
O (0.910, 0.411, 0.748)
O (0.919, 0.553, 0.361)
O (0.923, 0.909, 0.086)
O (0.924, 0.433, 0.141)
O (0.926, 0.559, 0.079)
O (0.928, 0.228, 0.024)
O (0.931, 0.108, 0.807)
O (0.934, 0.771, 0.468)
O (0.935, 0.235, 0.746)
O (0.939, 0.897, 0.407)
O (0.942, 0.423, 0.422)
O (0.944, 0.090, 0.089)
O (0.945, 0.749, 0.764)
O (0.949, 0.889, 0.694)

=====

- What is the energy in the second record?
  -461.663 eV per formula unit

=====

- What is the formula in the second record?
  Na6Ga4Si5Sn4S7O48